OsN2 after structural relaxation. Source: Materials Project, functional PBE.

The value obtained for the formation energy is 0.80 eV per atom. Its MP2020-corrected energy is -8.50 eV per atom. As for the energy: -99.08 eV for the cell shown.

It has space group Fm-3m (No. 225), with a = 4.8747 Å, b = 4.8747 Å, c = 4.8747 Å, α = 90.00°, β = 90.00° and γ = 90.00°. Symmetry generates all atoms from Os at (0.0000, 0.0000, 0.0000) and N at (0.2500, 0.2500, 0.2500).